This record from Materials Project describes a relaxed NbCu3Te2Se2 crystal. The functional is GGA-PBE.

The electronic total energy is -4.861 eV per atom. Its total moment is 0.000 μB/f.u. For the formation energy, the calculation gives -50 kJ per mole of atoms. The calculation puts the theoretical density at 5.775 g/cm³.

Cell lengths 8.2052, 8.3626, 5.8387 Å; angles 90.00, 90.00, 90.00 degrees
Last column: nearest neighbours and their distance in Å.
Space group Cmm2 (No. 35)
Inequivalent atoms, fractional coordinates:
Nb: 0.0000 0.0000 0.0000 (multiplicity 2)  2 Se 2.47, 2 Te 2.67
Cu: 0.0000 0.0000 0.4915 (multiplicity 2)  2 Se 2.48, 2 Te 2.61
Cu: 0.2500 0.2500 0.0100 (multiplicity 4)  2 Se 2.47, 2 Te 2.63
Te: 0.2344 0.5000 0.7372 (multiplicity 4)  3 Cu 2.61-2.63, 1 Nb 2.67
Se: 0.0000 0.2413 0.2444 (multiplicity 4)  3 Cu 2.47-2.48, 1 Nb 2.47



This record from Materials Project describes a relaxed Nb5Cu4Si4 crystal. The functional is GGA-PBE.

The electronic total energy is -7.316 eV per atom. For the formation energy, the calculation gives -46 kJ per mole of atoms. The calculation puts the theoretical density at 7.278 g/cm³.

Cell lengths 10.2453, 10.2453, 3.6127 Å; angles 90.00, 90.00, 90.00 degrees
Last column: nearest neighbours and their distance in Å.
Space group I4/m (No. 87)
Inequivalent atoms, fractional coordinates:
Nb: 0.0000 0.0000 0.0000 (multiplicity 2)  4 Si 2.66
Nb: 0.1292 0.8042 0.5000 (multiplicity 8)  5 Si 2.61-2.79, 2 Cu 2.92
Cu: 0.0821 0.3963 0.5000 (multiplicity 8)  3 Si 2.34-2.38
Si: 0.0591 0.2526 0.0000 (multiplicity 8)  3 Cu 2.34-2.38, 2 Nb 2.61



This record from Materials Project describes a relaxed NbCu3Te4 crystal. The functional is GGA-PBE.

The electronic total energy is -4.663 eV per atom. For the formation energy, the calculation gives -48 kJ per mole of atoms. The calculation puts the theoretical density at 6.157 g/cm³. The piezoelectric modulus e_max comes out at 0.06 C/m2.

Cell lengths 5.9826, 5.9826, 5.9826 Å; angles 90.00, 90.00, 90.00 degrees
Last column: nearest neighbours and their distance in Å.
Space group P-43m (No. 215)
Inequivalent atoms, fractional coordinates:
Nb: 0.0000 0.0000 0.0000 (multiplicity 1)  4 Te 2.67, 6 Cu 2.99
Cu: 0.0000 0.0000 0.5000 (multiplicity 3)  4 Te 2.62
Te: 0.2580 0.2580 0.2580 (multiplicity 4)  3 Cu 2.62, 1 Nb 2.67



This record from Materials Project describes a relaxed Nb3Cu2Te6 crystal. The functional is GGA-PBE.

The electronic total energy is -5.317 eV per atom. Its total moment is 0.001 μB/f.u. For the formation energy, the calculation gives -32 kJ per mole of atoms. The calculation puts the theoretical density at 6.945 g/cm³.

Cell lengths 6.9962, 7.9796, 11.2783 Å; angles 86.45, 78.43, 65.29 degrees
Last column: nearest neighbours and their distance in Å.
Space group P-1 (No. 2)
Inequivalent atoms, fractional coordinates:
Nb: 0.1061 0.0170 0.2859 (multiplicity 2)  2 Cu 2.74-3.05, 6 Te 2.81-3.05
Nb: 0.1265 0.2489 0.7404 (multiplicity 2)  1 Cu 2.74, 5 Te 2.75-2.90
Nb: 0.2959 0.5869 0.5956 (multiplicity 2)  1 Cu 2.69, 6 Te 2.71-3.00
Cu: 0.1169 0.1059 0.0185 (multiplicity 2)  4 Te 2.63-2.68, 1 Cu 2.90
Cu: 0.3266 0.8800 0.6816 (multiplicity 2)  2 Te 2.57-2.60, 3 Nb 2.69-2.74
Te: 0.0388 0.1820 0.5258 (multiplicity 2)  4 Nb 2.75-2.95
Te: 0.0558 0.6120 0.8203 (multiplicity 2)  1 Cu 2.68, 3 Nb 2.71-2.96
Te: 0.2126 0.7665 0.0935 (multiplicity 2)  2 Cu 2.63-2.64, 2 Nb 2.75-2.81
Te: 0.3267 0.4251 0.3590 (multiplicity 2)  1 Cu 2.60, 1 Nb 2.75
Te: 0.4595 0.7967 0.4025 (multiplicity 2)  4 Nb 2.82-3.00, 1 Cu 3.13
Te: 0.4642 0.9885 0.8434 (multiplicity 2)  2 Cu 2.57-2.66, 1 Nb 2.82



This record from Materials Project describes a relaxed NdCu6 crystal. The functional is GGA-PBE.

The electronic total energy is -4.328 eV per atom. For the formation energy, the calculation gives -13 kJ per mole of atoms. The calculation puts the theoretical density at 8.402 g/cm³.

Cell lengths 5.0653, 10.1402, 8.0896 Å; angles 90.00, 91.13, 90.00 degrees
Last column: nearest neighbours and their distance in Å.
Space group P2_1/c (No. 14)
Inequivalent atoms, fractional coordinates:
Nd: 0.2430 0.0638 0.2394 (multiplicity 4)  12 Cu 2.88-3.21
Cu: 0.0037 0.1922 0.5662 (multiplicity 4)  9 Cu 2.45-2.74
Cu: 0.2500 0.5164 0.0988 (multiplicity 4)  6 Cu 2.44-2.61
Cu: 0.2504 0.7444 0.6829 (multiplicity 4)  8 Cu 2.45-2.73
Cu: 0.2549 0.1425 0.8527 (multiplicity 4)  8 Cu 2.52-2.77
Cu: 0.2672 0.5968 0.4375 (multiplicity 4)  5 Cu 2.48-2.61
Cu: 0.4932 0.1894 0.5629 (multiplicity 4)  9 Cu 2.44-2.70



This record from Materials Project describes a relaxed NdCu6 crystal. The functional is GGA-PBE.

The electronic total energy is -4.328 eV per atom. For the formation energy, the calculation gives -13 kJ per mole of atoms. The calculation puts the theoretical density at 8.339 g/cm³.

Cell lengths 8.0684, 5.1131, 10.1462 Å; angles 90.00, 90.00, 90.00 degrees
Last column: nearest neighbours and their distance in Å.
Space group Pnma (No. 62)
Inequivalent atoms, fractional coordinates:
Nd: 0.2406 0.2500 0.0639 (multiplicity 4)  15 Cu 2.91-3.25
Cu: 0.0615 0.7500 0.0967 (multiplicity 4)  5 Cu 2.49-2.61
Cu: 0.0677 0.0045 0.3082 (multiplicity 8)  9 Cu 2.46-2.72
Cu: 0.0985 0.2500 0.5149 (multiplicity 4)  6 Cu 2.46-2.61
Cu: 0.1466 0.7500 0.8569 (multiplicity 4)  8 Cu 2.53-2.78
Cu: 0.1812 0.2500 0.7524 (multiplicity 4)  7 Cu 2.47-2.61



This record from Materials Project describes a relaxed Nd2CuO4 crystal. The functional is GGA-PBE.

The electronic total energy is -7.279 eV per atom. Its total moment is 0.000 μB/f.u. For the formation energy, the calculation gives -279 kJ per mole of atoms. The calculation puts the theoretical density at 7.351 g/cm³. As for the energy above the most stable polymorph in this dataset: 75 meV/atom.

Cell lengths 5.2494, 12.7953, 5.5967 Å; angles 90.00, 90.00, 90.00 degrees
Last column: nearest neighbours and their distance in Å.
Space group Cmce (No. 64)
Inequivalent atoms, fractional coordinates:
Nd: 0.0000 0.1388 0.0184 (multiplicity 8)  4 O 2.29-2.53
Cu: 0.0000 0.0000 0.5000 (multiplicity 4)  4 O 1.93
O: 0.0000 0.1868 0.4257 (multiplicity 8)  2 Nd 2.29-2.36, 1 Cu 2.43
O: 0.2500 0.0170 0.7500 (multiplicity 8)  2 Cu 1.93



This record from Materials Project describes a relaxed Nd4Cu2O7 crystal. The functional is GGA-PBE.

The electronic total energy is -7.410 eV per atom. Its total moment is 0.001 μB/f.u. For the formation energy, the calculation gives -291 kJ per mole of atoms. The calculation puts the theoretical density at 6.923 g/cm³.

Cell lengths 12.8164, 3.7979, 8.5286 Å; angles 90.00, 109.44, 90.00 degrees
Last column: nearest neighbours and their distance in Å.
Space group C2/m (No. 12)
Inequivalent atoms, fractional coordinates:
Nd: 0.1426 0.0000 0.3339 (multiplicity 4)  4 O 2.32-2.43
Nd: 0.1593 0.0000 0.8192 (multiplicity 4)  4 O 2.34-2.38
Cu: 0.0000 0.5000 0.0000 (multiplicity 2)  2 O 1.83
Cu: 0.0000 0.5000 0.5000 (multiplicity 2)  2 O 1.90
O: 0.0000 0.0000 0.5000 (multiplicity 2)  2 Cu 1.90
O: 0.0103 0.5000 0.7911 (multiplicity 4)  1 Cu 1.83
O: 0.2249 0.0000 0.1153 (multiplicity 4)  4 Nd 2.36-2.43
O: 0.2479 0.0000 0.6199 (multiplicity 4)  4 Nd 2.32-2.36



This record from Materials Project describes a relaxed NdCuO2 crystal. The functional is GGA-PBE.

The electronic total energy is -6.958 eV per atom. For the formation energy, the calculation gives -252 kJ per mole of atoms. The calculation puts the theoretical density at 5.687 g/cm³.

Cell lengths 3.7580, 3.7580, 17.1751 Å; angles 90.00, 90.00, 120.00 degrees
Last column: nearest neighbours and their distance in Å.
Space group R-3m (No. 166, hexagonal axes)
Inequivalent atoms, fractional coordinates:
Nd: 0.0000 0.0000 0.0000 (multiplicity 3)  6 O 2.41
Cu: 0.0000 0.0000 0.5000 (multiplicity 3)  2 O 1.82
O: 0.0000 0.0000 0.3939 (multiplicity 6)  1 Cu 1.82



This record from Materials Project describes a relaxed Nd12Cu6O25 crystal. The functional is GGA-PBE.

The electronic total energy is -7.262 eV per atom. Its total moment is 0.008 μB/f.u. For the formation energy, the calculation gives -278 kJ per mole of atoms. The calculation puts the theoretical density at 7.435 g/cm³.

Cell lengths 17.2373, 3.7738, 18.4461 Å; angles 90.00, 110.73, 90.00 degrees
Last column: nearest neighbours and their distance in Å.
Space group C2/m (No. 12)
Inequivalent atoms, fractional coordinates:
Nd: 0.0316 0.0000 0.2356 (multiplicity 4)  7 O 2.38-2.66
Nd: 0.0524 0.5000 0.4291 (multiplicity 4)  4 O 2.35-2.62
Nd: 0.1431 0.0000 0.1029 (multiplicity 4)  3 O 2.28-2.44
Nd: 0.1516 0.5000 0.7334 (multiplicity 4)  3 O 2.31-2.44
Nd: 0.1693 0.0000 0.9217 (multiplicity 4)  5 O 2.30-2.54
Nd: 0.2390 0.0000 0.4023 (multiplicity 4)  4 O 2.32-2.58
Cu: 0.0162 0.5000 0.9260 (multiplicity 4)  4 O 1.88-1.94
Cu: 0.1039 0.0000 0.5808 (multiplicity 4)  4 O 1.88-1.89
Cu: 0.1895 0.5000 0.2520 (multiplicity 4)  4 O 1.89-1.95
O: 0.0000 0.0000 0.5000 (multiplicity 2)  2 Cu 1.88
O: 0.0182 0.0000 0.9108 (multiplicity 4)  2 Cu 1.91
O: 0.0281 0.0000 0.6659 (multiplicity 4)  1 Cu 2.37, 3 Nd 2.38-2.61
O: 0.0706 0.5000 0.8098 (multiplicity 4)  3 Nd 2.31-2.51
O: 0.0859 0.5000 0.1635 (multiplicity 4)  2 Cu 1.94-1.95
O: 0.1035 0.5000 0.5820 (multiplicity 4)  2 Cu 1.89
O: 0.1145 0.5000 0.0137 (multiplicity 4)  1 Cu 1.88
O: 0.1231 0.5000 0.3412 (multiplicity 4)  1 Cu 2.31, 1 Nd 2.35
O: 0.1692 0.0000 0.4890 (multiplicity 4)  1 Nd 2.32, 1 Cu 2.34
O: 0.1880 0.0000 0.2526 (multiplicity 4)  2 Cu 1.89
O: 0.2106 0.0000 0.6575 (multiplicity 4)  2 Cu 1.88-1.93
O: 0.2224 0.0000 0.8137 (multiplicity 4)  1 Cu 2.25, 3 Nd 2.44-2.47
O: 0.2499 0.0000 0.0571 (multiplicity 4)  4 Nd 2.28-2.39



This record from Materials Project describes a relaxed Nd2CuO4 crystal. The functional is GGA-PBE.

The electronic total energy is -7.255 eV per atom. Its total moment is 0.000 μB/f.u. For the formation energy, the calculation gives -277 kJ per mole of atoms. The calculation puts the theoretical density at 7.526 g/cm³. As for the energy above the most stable polymorph in this dataset: 100 meV/atom.

Cell lengths 3.7608, 3.7608, 12.9794 Å; angles 90.00, 90.00, 90.00 degrees
Last column: nearest neighbours and their distance in Å.
Space group I4/mmm (No. 139)
Inequivalent atoms, fractional coordinates:
Nd: 0.0000 0.0000 0.1379 (multiplicity 4)  1 O 2.30
Cu: 0.0000 0.0000 0.5000 (multiplicity 2)  4 O 1.88
O: 0.0000 0.0000 0.3152 (multiplicity 4)  1 Nd 2.30, 1 Cu 2.40
O: 0.0000 0.5000 0.0000 (multiplicity 4)  2 Cu 1.88



This record from Materials Project describes a relaxed Nd2CuO4 crystal. The functional is GGA-PBE.

The electronic total energy is -7.355 eV per atom. For the formation energy, the calculation gives -287 kJ per mole of atoms. The calculation puts the theoretical density at 7.086 g/cm³. As for the energy above the most stable polymorph in this dataset: 0 meV/atom.

Cell lengths 3.9739, 3.9739, 12.3471 Å; angles 90.00, 90.00, 90.00 degrees
Last column: nearest neighbours and their distance in Å.
Space group I4/mmm (No. 139)
Inequivalent atoms, fractional coordinates:
Nd: 0.0000 0.0000 0.1499 (multiplicity 4)  4 O 2.34
Cu: 0.0000 0.0000 0.5000 (multiplicity 2)  4 O 1.99
O: 0.0000 0.5000 0.0000 (multiplicity 4)  2 Cu 1.99
O: 0.0000 0.5000 0.2500 (multiplicity 4)  4 Nd 2.34